The following is a PBE-GGA calculation of crystalline Nd3InC at its relaxed geometry, from Materials Project.

a = 5.134 Å, b = 5.134 Å, c = 5.134 Å
α = 90.00°, β = 90.00°, γ = 90.00°
Fractional positions:
Nd (0.000, 0.500, 0.500)
Nd (0.500, 0.000, 0.500)
C (0.500, 0.500, 0.500)
Nd (0.500, 0.500, 0.000)
In (0.000, 0.000, 0.000)

Computed properties:
- ΔH_f (0 K): -317 meV/atom
- Distance to the lowest polymorph of the same formula: 0.00 kcal/mol of atoms
- VASP energy: -5.574 eV per atom

---

The following is a PBE-GGA calculation of crystalline Ca3Ag at its relaxed geometry, from Materials Project.

a = 5.082 Å, b = 5.082 Å, c = 5.082 Å
α = 90.00°, β = 90.00°, γ = 90.00°
Fractional positions:
Ca (0.000, 0.500, 0.500)
Ca (0.500, 0.000, 0.500)
Ag (0.000, 0.000, 0.000)
Ca (0.500, 0.500, 0.000)

Computed properties:
- ΔH_f (0 K): -55 meV/atom
- VASP energy: -2.267 eV per atom